# 1
Rb2SeCl6 | r2SCAN | optimized geometry

Unit cell a=7.124 b=7.124 c=7.124 alpha=60.00 beta=60.00 gamma=60.00
Element x y z (fractional)
Rb: 0.250 0.250 0.250
Rb: 0.750 0.750 0.750
Se: 0.000 0.000 0.000
Cl: 0.240 0.240 0.760
Cl: 0.240 0.760 0.240
Cl: 0.240 0.760 0.760
Cl: 0.760 0.240 0.240
Cl: 0.760 0.240 0.760
Cl: 0.760 0.760 0.240

Properties
**VASP energy**: -10.03 eV/atom
**Formation enthalpy at 0 K**: -1.240 eV/atom
**Magnetic moment**: 0.000 μB per atom
**Volume**: 28.409 A^3/atom



# 2
LaTmGe4Ir2 | r2SCAN | optimized geometry

Unit cell a=9.477 b=9.477 c=9.477 alpha=153.53 beta=124.29 gamma=62.71
Element x y z (fractional)
La: 0.239 0.000 0.239
La: 0.761 0.000 0.761
Tm: 0.207 0.207 0.000
Tm: 0.793 0.793 0.000
Ge: 0.080 0.580 0.500
Ge: 0.146 0.798 0.348
Ge: 0.421 0.421 0.000
Ge: 0.450 0.798 0.652
Ge: 0.550 0.202 0.348
Ge: 0.579 0.579 0.000
Ge: 0.854 0.202 0.652
Ge: 0.920 0.420 0.500
Ir: 0.104 0.351 0.753
Ir: 0.402 0.649 0.753
Ir: 0.598 0.351 0.247
Ir: 0.896 0.649 0.247

Properties
**VASP energy**: -29.05 eV/atom
**Formation enthalpy at 0 K**: -0.917 eV/atom
**Magnetic moment**: 0.000 μB per atom
**Volume**: 19.440 A^3/atom



# 3
MgMn2Br6O12 | r2SCAN | optimized geometry

Unit cell a=8.714 b=8.714 c=5.992 alpha=100.27 beta=100.27 gamma=67.37
Element x y z (fractional)
Mg: 0.000 0.000 0.000
Mn: 0.350 0.350 0.642
Mn: 0.650 0.650 0.358
Br: 0.065 0.700 0.202
Br: 0.300 0.935 0.798
Br: 0.359 0.359 0.027
Br: 0.641 0.641 0.973
Br: 0.700 0.065 0.202
Br: 0.935 0.300 0.798
O: 0.052 0.742 0.928
O: 0.065 0.065 0.691
O: 0.242 0.242 0.526
O: 0.258 0.948 0.072
O: 0.267 0.538 0.585
O: 0.462 0.733 0.415
O: 0.538 0.267 0.585
O: 0.733 0.462 0.415
O: 0.742 0.052 0.928
O: 0.758 0.758 0.474
O: 0.935 0.935 0.309
O: 0.948 0.258 0.072

Properties
**VASP energy**: -9.19 eV/atom
**Formation enthalpy at 0 K**: -0.390 eV/atom
**Magnetic moment**: 0.096 μB per atom
**Volume**: 19.535 A^3/atom



# 4
TbCuSi | r2SCAN | optimized geometry

Unit cell a=4.120 b=4.120 c=7.599 alpha=90.00 beta=90.00 gamma=120.00
Element x y z (fractional)
Tb: 0.000 0.000 0.000
Tb: 0.000 0.000 0.500
Cu: 0.333 0.667 0.250
Cu: 0.667 0.333 0.750
Si: 0.333 0.667 0.750
Si: 0.667 0.333 0.250

Properties
**VASP energy**: -17.69 eV/atom
**Formation enthalpy at 0 K**: -0.736 eV/atom
**Magnetic moment**: 0.000 μB per atom
**Volume**: 18.622 A^3/atom



# 5
NiSeO3 | r2SCAN | optimized geometry

Unit cell a=5.872 b=7.498 c=4.941 alpha=90.00 beta=90.00 gamma=90.00
Element x y z (fractional)
Ni: 0.000 0.000 0.000
Ni: 0.000 0.500 0.000
Ni: 0.500 0.000 0.500
Ni: 0.500 0.500 0.500
Se: 0.018 0.250 0.480
Se: 0.482 0.750 0.980
Se: 0.518 0.250 0.020
Se: 0.982 0.750 0.520
O: 0.071 0.250 0.825
O: 0.183 0.074 0.361
O: 0.183 0.426 0.361
O: 0.317 0.574 0.861
O: 0.317 0.926 0.861
O: 0.429 0.750 0.325
O: 0.571 0.250 0.675
O: 0.683 0.074 0.139
O: 0.683 0.426 0.139
O: 0.817 0.574 0.639
O: 0.817 0.926 0.639
O: 0.929 0.750 0.175

Properties
**VASP energy**: -9.83 eV/atom
**Formation enthalpy at 0 K**: -0.989 eV/atom
**Magnetic moment**: 0.400 μB per atom
**Volume**: 10.878 A^3/atom



# 6
ZrNCl | r2SCAN | optimized geometry

Unit cell a=9.818 b=9.818 c=9.818 alpha=21.23 beta=21.23 gamma=21.23
Element x y z (fractional)
Zr: 0.212 0.212 0.212
Zr: 0.788 0.788 0.788
N: 0.137 0.137 0.137
N: 0.863 0.863 0.863
Cl: 0.392 0.392 0.392
Cl: 0.608 0.608 0.608

Properties
**VASP energy**: -14.79 eV/atom
**Formation enthalpy at 0 K**: -2.108 eV/atom
**Magnetic moment**: 0.000 μB per atom
**Volume**: 18.111 A^3/atom



# 7
MgAg5 | r2SCAN | optimized geometry

Unit cell a=5.031 b=5.031 c=4.772 alpha=90.00 beta=90.00 gamma=120.00
Element x y z (fractional)
Mg: 0.000 0.000 0.000
Ag: 0.000 0.667 0.500
Ag: 0.333 0.333 0.500
Ag: 0.333 0.667 0.000
Ag: 0.667 0.000 0.500
Ag: 0.667 0.333 0.000

Properties
**VASP energy**: -18.57 eV/atom
**Formation enthalpy at 0 K**: -0.078 eV/atom
**Magnetic moment**: 0.000 μB per atom
**Volume**: 17.433 A^3/atom



# 8
Y3Sc3Al2O12 | r2SCAN | optimized geometry

Unit cell a=10.816 b=10.816 c=10.816 alpha=109.47 beta=109.47 gamma=109.47
Element x y z (fractional)
Y: 0.125 0.250 0.375
Y: 0.125 0.375 0.750
Y: 0.250 0.375 0.125
Y: 0.250 0.875 0.625
Y: 0.375 0.125 0.250
Y: 0.375 0.750 0.125
Y: 0.625 0.250 0.875
Y: 0.625 0.875 0.750
Y: 0.750 0.125 0.375
Y: 0.750 0.625 0.875
Y: 0.875 0.625 0.250
Y: 0.875 0.750 0.625
Sc: 0.125 0.750 0.875
Sc: 0.125 0.875 0.250
Sc: 0.250 0.125 0.875
Sc: 0.250 0.625 0.375
Sc: 0.375 0.250 0.625
Sc: 0.375 0.625 0.750
Sc: 0.625 0.375 0.250
Sc: 0.625 0.750 0.375
Sc: 0.750 0.375 0.625
Sc: 0.750 0.875 0.125
Sc: 0.875 0.125 0.750
Sc: 0.875 0.250 0.125
Al: 0.000 0.000 0.000
Al: 0.000 0.000 0.500
Al: 0.000 0.500 0.000
Al: 0.000 0.500 0.500
Al: 0.500 0.000 0.000
Al: 0.500 0.000 0.500
Al: 0.500 0.500 0.000
Al: 0.500 0.500 0.500
O: 0.030 0.198 0.120
O: 0.030 0.332 0.910
O: 0.077 0.698 0.668
O: 0.077 0.880 0.410
O: 0.090 0.620 0.423
O: 0.090 0.970 0.668
O: 0.120 0.030 0.198
O: 0.120 0.590 0.923
O: 0.168 0.198 0.577
O: 0.168 0.470 0.590
O: 0.198 0.120 0.030
O: 0.198 0.577 0.168
O: 0.302 0.332 0.923
O: 0.302 0.470 0.380
O: 0.332 0.910 0.030
O: 0.332 0.923 0.302
O: 0.380 0.302 0.470
O: 0.380 0.577 0.910
O: 0.410 0.077 0.880
O: 0.410 0.832 0.530
O: 0.423 0.090 0.620
O: 0.423 0.832 0.802
O: 0.470 0.380 0.302
O: 0.470 0.590 0.168
O: 0.530 0.410 0.832
O: 0.530 0.620 0.698
O: 0.577 0.168 0.198
O: 0.577 0.910 0.380
O: 0.590 0.168 0.470
O: 0.590 0.923 0.120
O: 0.620 0.423 0.090
O: 0.620 0.698 0.530
O: 0.668 0.077 0.698
O: 0.668 0.090 0.970
O: 0.698 0.530 0.620
O: 0.698 0.668 0.077
O: 0.802 0.423 0.832
O: 0.802 0.880 0.970
O: 0.832 0.530 0.410
O: 0.832 0.802 0.423
O: 0.880 0.410 0.077
O: 0.880 0.970 0.802
O: 0.910 0.030 0.332
O: 0.910 0.380 0.577
O: 0.923 0.120 0.590
O: 0.923 0.302 0.332
O: 0.970 0.668 0.090
O: 0.970 0.802 0.880

Properties
**VASP energy**: -12.61 eV/atom
**Formation enthalpy at 0 K**: -3.595 eV/atom
**Magnetic moment**: 0.000 μB per atom
**Volume**: 12.177 A^3/atom